1.
DFT (PBE-GGA) results for an optimized crystal structure of Sr2CuF6.

Cell lengths 8.7873, 8.7873, 5.8049 Å; angles 90.00, 90.00, 141.42 degrees
Atoms (fractional coordinates):
Sr (0.6617, 0.3383, 0.5000)
Sr (0.1617, 0.8383, 0.0000)
Sr (0.8383, 0.1617, 0.0000)
Sr (0.3383, 0.6617, 0.5000)
Cu (0.0000, 0.0000, 0.5000)
Cu (0.5000, 0.5000, 0.0000)
F (0.0851, 0.2469, 0.3330)
F (0.5050, 0.0050, 0.2500)
F (0.9950, 0.4950, 0.7500)
F (0.9149, 0.7531, 0.6670)
F (0.4950, 0.9950, 0.7500)
F (0.7531, 0.9149, 0.6670)
F (0.4149, 0.2531, 0.8330)
F (0.2531, 0.4149, 0.8330)
F (0.0050, 0.5050, 0.2500)
F (0.7469, 0.5851, 0.1670)
F (0.5851, 0.7469, 0.1670)
F (0.2469, 0.0851, 0.3330)

Results
- SG: Cmce
- Total energy after the MP2020 corrections: -5.551 eV/atom
- Distance to the lowest polymorph of the same formula: 0.000 eV/atom

2.
DFT (PBE-GGA) results for an optimized crystal structure of RuBr3.

Cell lengths 5.9392, 7.0608, 7.0608 Å; angles 60.00, 90.00, 90.00 degrees
Atoms (fractional coordinates):
Ru (0.5000, 0.0000, 0.0000)
Ru (0.0000, 0.0000, 0.0000)
Br (0.2500, 0.7121, 0.2879)
Br (0.7500, 0.0000, 0.2879)
Br (0.7500, 0.2879, 0.7121)
Br (0.2500, 0.0000, 0.7121)
Br (0.2500, 0.2879, 0.0000)
Br (0.7500, 0.7121, 0.0000)

Results
- SG: P6_3/mcm
- Total energy after the MP2020 corrections: -4.270 eV/atom

3.
DFT (PBE-GGA) results for an optimized crystal structure of Rb2Bi4O7.

Cell lengths 12.4948, 12.4948, 15.8122 Å; angles 86.33, 86.33, 63.07 degrees
Atoms (fractional coordinates):
Rb (0.5393, 0.6284, 0.2891)
Rb (0.6286, 0.0217, 0.7918)
Rb (0.3716, 0.4607, 0.2109)
Rb (0.1267, 0.5463, 0.7902)
Rb (0.6284, 0.5393, 0.7891)
Rb (0.3714, 0.9783, 0.2082)
Rb (0.5463, 0.1267, 0.2902)
Rb (0.9679, 0.8724, 0.7093)
Rb (0.4607, 0.3716, 0.7109)
Rb (0.9783, 0.3714, 0.7082)
Rb (0.1276, 0.0321, 0.7907)
Rb (0.8733, 0.4537, 0.2098)
Rb (0.8724, 0.9679, 0.2093)
Rb (0.0321, 0.1276, 0.2907)
Rb (0.0217, 0.6286, 0.2918)
Rb (0.4537, 0.8733, 0.7098)
Bi (0.2987, 0.2141, 0.6143)
Bi (0.9569, 0.3981, 0.9612)
Bi (0.2168, 0.2640, 0.3731)
Bi (0.7360, 0.7832, 0.1269)
Bi (0.3951, 0.9101, 0.9579)
Bi (0.8906, 0.9090, 0.9569)
Bi (0.7013, 0.7859, 0.3857)
Bi (0.7846, 0.2431, 0.6211)
Bi (0.7100, 0.2968, 0.1188)
Bi (0.2154, 0.7569, 0.3789)
Bi (0.1094, 0.0910, 0.0431)
Bi (0.2968, 0.7100, 0.6188)
Bi (0.3981, 0.9569, 0.4612)
Bi (0.7569, 0.2154, 0.8789)
Bi (0.4525, 0.3999, 0.9652)
Bi (0.9101, 0.3951, 0.4579)
Bi (0.2141, 0.2987, 0.1143)
Bi (0.2431, 0.7846, 0.1211)
Bi (0.7032, 0.2900, 0.3812)
Bi (0.2900, 0.7032, 0.8812)
Bi (0.5475, 0.6001, 0.0348)
Bi (0.3999, 0.4525, 0.4652)
Bi (0.2640, 0.2168, 0.8731)
Bi (0.6001, 0.5475, 0.5348)
Bi (0.6049, 0.0899, 0.0421)
Bi (0.6019, 0.0431, 0.5388)
Bi (0.7859, 0.7013, 0.8857)
Bi (0.0910, 0.1094, 0.5431)
Bi (0.7832, 0.7360, 0.6269)
Bi (0.0431, 0.6019, 0.0388)
Bi (0.0899, 0.6049, 0.5421)
Bi (0.9090, 0.8906, 0.4569)
O (0.2854, 0.7146, 0.2500)
O (0.9710, 0.6490, 0.6562)
O (0.3510, 0.0290, 0.8438)
O (0.2814, 0.0894, 0.0284)
O (0.2840, 0.2395, 0.2419)
O (0.4169, 0.6148, 0.4676)
O (0.7667, 0.9135, 0.6134)
O (0.1096, 0.4860, 0.1498)
O (0.1162, 0.4194, 0.9688)
O (0.5140, 0.8904, 0.3502)
O (0.0865, 0.2333, 0.8866)
O (0.4177, 0.7753, 0.1024)
O (0.5806, 0.8838, 0.5312)
O (0.2552, 0.0681, 0.6225)
O (0.7448, 0.9319, 0.3775)
O (0.7160, 0.7605, 0.7581)
O (0.0894, 0.2814, 0.5284)
O (0.7753, 0.4177, 0.6024)
O (0.6148, 0.4169, 0.9676)
O (0.5831, 0.3852, 0.5324)
O (0.5608, 0.2596, 0.1198)
O (0.2229, 0.9116, 0.9712)
O (0.7186, 0.9106, 0.9716)
O (0.2369, 0.7631, 0.7500)
O (0.5823, 0.2247, 0.8976)
O (0.6490, 0.9710, 0.1562)
O (0.4866, 0.6104, 0.6480)
O (0.4392, 0.7404, 0.8802)
O (0.2247, 0.5823, 0.3976)
O (0.9135, 0.7667, 0.1134)
O (0.2395, 0.2840, 0.7419)
O (0.4860, 0.1096, 0.6498)
O (0.2596, 0.5608, 0.6198)
O (0.5134, 0.3896, 0.3520)
O (0.9319, 0.7448, 0.8775)
O (0.2333, 0.0865, 0.3866)
O (0.7404, 0.4392, 0.3802)
O (0.1511, 0.9725, 0.1555)
O (0.7771, 0.0884, 0.0288)
O (0.3852, 0.5831, 0.0324)
O (0.9106, 0.7186, 0.4716)
O (0.7146, 0.2854, 0.7500)
O (0.8838, 0.5806, 0.0312)
O (0.0290, 0.3510, 0.3438)
O (0.7605, 0.7160, 0.2581)
O (0.4194, 0.1162, 0.4688)
O (0.6104, 0.4866, 0.1480)
O (0.8904, 0.5140, 0.8502)
O (0.8489, 0.0275, 0.8445)
O (0.7631, 0.2369, 0.2500)
O (0.9116, 0.2229, 0.4712)
O (0.0681, 0.2552, 0.1225)
O (0.0884, 0.7771, 0.5288)
O (0.0275, 0.8489, 0.3445)
O (0.9725, 0.1511, 0.6555)
O (0.3896, 0.5134, 0.8520)

Results
- Magnetization: 0.025 μB/f.u.
- SG: C2/c
- Total energy after the MP2020 corrections: -5.705 eV/atom

4.
DFT (PBE-GGA) results for an optimized crystal structure of HgCBr3N.

Cell lengths 8.7315, 8.7315, 6.5525 Å; angles 90.00, 90.00, 124.39 degrees
Atoms (fractional coordinates):
Hg (0.5853, 0.4147, 0.7500)
Hg (0.4147, 0.5853, 0.2500)
C (0.9241, 0.0759, 0.7500)
C (0.0759, 0.9241, 0.2500)
Br (0.4177, 0.5823, 0.7500)
Br (0.5823, 0.4177, 0.2500)
Br (0.9409, 0.6096, 0.7500)
Br (0.6096, 0.9409, 0.2500)
Br (0.0591, 0.3904, 0.2500)
Br (0.3904, 0.0591, 0.7500)
N (0.8480, 0.1520, 0.7500)
N (0.1520, 0.8480, 0.2500)

Results
- Magnetization: 2.000 μB/f.u.
- SG: Cmcm
- Total energy after the MP2020 corrections: -3.190 eV/atom

5.
DFT (PBE-GGA) results for an optimized crystal structure of Na10Ti5Zn3P12O48.

Cell lengths 17.6512, 8.8285, 22.0624 Å; angles 89.96, 90.02, 120.04 degrees
Atoms (fractional coordinates):
Na (0.3192, 0.0097, 0.2494)
Na (0.6867, 0.3624, 0.2491)
Na (0.3159, 0.6245, 0.7487)
Na (0.8157, 0.6239, 0.7490)
Na (0.1533, 0.3441, 0.5797)
Na (0.6531, 0.3432, 0.5790)
Na (0.0179, 0.6929, 0.5801)
Na (0.5179, 0.6931, 0.5798)
Na (0.3276, 0.9612, 0.5802)
Na (0.8282, 0.9642, 0.5799)
Na (0.1531, 0.9627, 0.0798)
Na (0.6537, 0.9642, 0.0798)
Na (0.3280, 0.6930, 0.0800)
Na (0.8282, 0.6937, 0.0796)
Na (0.0179, 0.3435, 0.0797)
Na (0.5182, 0.3433, 0.0805)
Na (0.6626, 0.0276, 0.4133)
Na (0.3514, 0.6743, 0.4127)
Na (0.9999, 0.9995, 0.4945)
Na (0.4996, 0.0135, 0.4927)
Na (0.9998, 0.9993, 0.9954)
Na (0.4999, 0.9995, 0.9959)
Na (0.3338, 0.3217, 0.8309)
Na (0.8336, 0.3219, 0.8309)
Na (0.3344, 0.3384, 0.3273)
Na (0.8433, 0.3403, 0.3281)
Na (0.1622, 0.6552, 0.1661)
Na (0.6661, 0.6769, 0.1660)
Na (0.1619, 0.6676, 0.6671)
Na (0.6617, 0.6680, 0.6671)
Ti (0.0002, 0.9991, 0.3523)
Ti (0.0001, 0.0015, 0.8541)
Ti (0.5001, 0.0018, 0.8540)
Ti (0.0013, 0.0025, 0.6502)
Ti (0.5012, 0.0010, 0.6498)
Ti (0.9999, 0.0008, 0.1497)
Ti (0.5001, 0.9976, 0.1516)
Ti (0.3332, 0.3354, 0.9780)
Ti (0.8336, 0.3346, 0.9780)
Ti (0.3322, 0.3220, 0.4787)
Ti (0.8366, 0.3418, 0.4777)
Ti (0.1636, 0.6606, 0.3143)
Ti (0.6653, 0.6693, 0.3153)
Ti (0.1639, 0.6678, 0.8171)
Ti (0.6636, 0.6672, 0.8172)
Zn (0.4996, 0.0055, 0.3495)
Zn (0.3337, 0.3266, 0.6875)
Zn (0.8337, 0.3258, 0.6873)
Zn (0.3333, 0.3408, 0.1848)
Zn (0.8372, 0.3312, 0.1861)
Zn (0.1667, 0.6673, 0.0109)
Zn (0.6667, 0.6670, 0.0108)
Zn (0.1632, 0.6622, 0.5116)
Zn (0.6692, 0.6681, 0.5122)
P (0.1433, 0.9950, 0.2512)
P (0.6469, 0.9966, 0.2524)
P (0.3518, 0.7033, 0.2531)
P (0.8544, 0.7125, 0.2515)
P (0.0013, 0.2899, 0.2516)
P (0.5006, 0.2966, 0.2507)
P (0.1438, 0.2920, 0.7518)
P (0.6437, 0.2917, 0.7516)
P (0.0031, 0.7136, 0.7514)
P (0.5031, 0.7134, 0.7516)
P (0.3546, 0.9999, 0.7516)
P (0.8545, 0.9998, 0.7517)
P (0.4782, 0.3329, 0.5850)
P (0.9779, 0.3330, 0.5844)
P (0.1876, 0.0429, 0.5849)
P (0.6881, 0.0440, 0.5834)
P (0.3340, 0.6247, 0.5848)
P (0.8343, 0.6253, 0.5861)
P (0.4785, 0.6242, 0.0835)
P (0.9781, 0.6239, 0.0841)
P (0.3338, 0.0431, 0.0851)
P (0.8338, 0.0438, 0.0835)
P (0.1875, 0.3318, 0.0834)
P (0.6879, 0.3322, 0.0852)
P (0.3139, 0.6664, 0.9167)
P (0.8138, 0.6660, 0.9167)
P (0.0191, 0.3720, 0.9179)
P (0.5190, 0.3718, 0.9180)
P (0.1668, 0.9623, 0.9178)
P (0.6667, 0.9623, 0.9177)
P (0.3117, 0.9589, 0.4176)
P (0.8154, 0.9618, 0.4177)
P (0.1654, 0.3698, 0.4178)
P (0.6678, 0.3752, 0.4181)
P (0.0204, 0.6687, 0.4174)
P (0.5190, 0.6615, 0.4188)
O (0.0934, 0.0122, 0.3055)
O (0.6063, 0.0247, 0.3091)
O (0.4029, 0.7868, 0.3106)
O (0.9129, 0.8130, 0.3057)
O (0.4855, 0.1813, 0.3052)
O (0.9940, 0.1733, 0.3058)
O (0.0935, 0.1741, 0.8056)
O (0.5935, 0.1742, 0.8056)
O (0.4924, 0.8133, 0.8051)
O (0.9924, 0.8135, 0.8050)
O (0.4126, 0.0126, 0.8060)
O (0.9126, 0.0126, 0.8060)
O (0.3995, 0.9708, 0.6930)
O (0.8996, 0.9711, 0.6930)
O (0.0877, 0.2018, 0.6924)
O (0.5877, 0.2017, 0.6923)
O (0.0148, 0.8269, 0.6920)
O (0.5148, 0.8264, 0.6921)
O (0.4005, 0.8304, 0.1959)
O (0.8993, 0.8249, 0.1924)
O (0.0137, 0.2017, 0.1924)
O (0.5162, 0.2044, 0.1925)
O (0.0876, 0.9739, 0.1922)
O (0.5863, 0.9718, 0.1945)
O (0.4390, 0.3684, 0.6401)
O (0.9395, 0.3690, 0.6399)
O (0.2439, 0.1225, 0.6402)
O (0.7450, 0.1253, 0.6384)
O (0.3190, 0.5175, 0.6423)
O (0.8191, 0.5195, 0.6438)
O (0.4397, 0.5107, 0.1389)
O (0.9390, 0.5126, 0.1401)
O (0.3176, 0.1160, 0.1433)
O (0.8162, 0.1207, 0.1393)
O (0.2430, 0.3638, 0.1393)
O (0.7410, 0.3645, 0.1432)
O (0.2325, 0.3014, 0.0266)
O (0.7353, 0.3034, 0.0295)
O (0.4177, 0.5348, 0.0267)
O (0.9179, 0.5341, 0.0272)
O (0.3486, 0.1673, 0.0297)
O (0.8501, 0.1654, 0.0269)
O (0.2328, 0.1634, 0.5277)
O (0.7297, 0.1586, 0.5248)
O (0.3489, 0.5365, 0.5276)
O (0.8486, 0.5303, 0.5302)
O (0.4169, 0.3003, 0.5279)
O (0.9177, 0.3022, 0.5273)
O (0.2785, 0.6994, 0.9752)
O (0.7786, 0.6993, 0.9752)
O (0.0702, 0.4404, 0.9768)
O (0.5702, 0.4402, 0.9769)
O (0.1493, 0.8594, 0.9766)
O (0.6495, 0.8596, 0.9766)
O (0.2724, 0.8509, 0.4752)
O (0.7815, 0.8640, 0.4773)
O (0.1494, 0.4380, 0.4770)
O (0.6564, 0.4520, 0.4767)
O (0.0694, 0.7010, 0.4770)
O (0.5729, 0.6942, 0.4764)
O (0.0690, 0.6407, 0.3631)
O (0.5689, 0.6404, 0.3629)
O (0.2535, 0.8673, 0.3602)
O (0.7501, 0.8626, 0.3642)
O (0.1810, 0.4996, 0.3639)
O (0.6795, 0.4917, 0.3609)
O (0.0697, 0.4975, 0.8632)
O (0.5695, 0.4975, 0.8634)
O (0.1790, 0.8610, 0.8632)
O (0.6791, 0.8613, 0.8631)
O (0.2541, 0.6412, 0.8603)
O (0.7541, 0.6410, 0.8603)
O (0.0065, 0.8263, 0.4063)
O (0.5063, 0.8207, 0.4118)
O (0.4032, 0.9818, 0.4119)
O (0.9073, 0.9877, 0.4065)
O (0.0870, 0.1851, 0.4068)
O (0.5914, 0.1875, 0.4120)
O (0.0068, 0.1873, 0.9066)
O (0.5068, 0.1873, 0.9066)
O (0.0868, 0.9869, 0.9062)
O (0.5867, 0.9869, 0.9062)
O (0.4071, 0.8267, 0.9066)
O (0.9071, 0.8265, 0.9066)
O (0.4838, 0.1596, 0.5890)
O (0.9839, 0.1599, 0.5890)
O (0.0954, 0.0326, 0.5885)
O (0.5951, 0.0313, 0.5887)
O (0.4202, 0.8109, 0.5890)
O (0.9207, 0.8101, 0.5885)
O (0.4840, 0.8088, 0.0889)
O (0.9843, 0.8092, 0.0885)
O (0.4200, 0.0301, 0.0889)
O (0.9204, 0.0314, 0.0886)
O (0.0947, 0.1587, 0.0881)
O (0.5956, 0.1587, 0.0886)
O (0.3458, 0.1603, 0.7484)
O (0.8458, 0.1602, 0.7482)
O (0.2353, 0.3160, 0.7487)
O (0.7352, 0.3157, 0.7486)
O (0.4198, 0.5363, 0.7481)
O (0.9200, 0.5365, 0.7480)
O (0.3385, 0.5223, 0.2450)
O (0.8424, 0.5296, 0.2488)
O (0.4205, 0.3159, 0.2430)
O (0.9210, 0.3084, 0.2485)
O (0.2354, 0.1518, 0.2489)
O (0.7364, 0.1597, 0.2443)
O (0.3214, 0.4975, 0.9215)
O (0.8214, 0.4973, 0.9216)
O (0.4275, 0.3568, 0.9217)
O (0.9277, 0.3578, 0.9214)
O (0.2514, 0.1442, 0.9215)
O (0.7510, 0.1449, 0.9217)
O (0.3177, 0.1429, 0.4231)
O (0.8193, 0.1436, 0.4208)
O (0.2527, 0.3641, 0.4215)
O (0.7543, 0.3611, 0.4222)
O (0.4264, 0.4932, 0.4223)
O (0.9282, 0.4984, 0.4219)
O (0.1727, 0.4886, 0.0765)
O (0.6735, 0.4893, 0.0772)
O (0.0714, 0.6537, 0.0770)
O (0.5720, 0.6556, 0.0761)
O (0.2551, 0.8571, 0.0771)
O (0.7558, 0.8570, 0.0761)
O (0.1721, 0.8564, 0.5778)
O (0.6724, 0.8564, 0.5774)
O (0.2552, 0.6534, 0.5781)
O (0.7557, 0.6538, 0.5786)
O (0.0715, 0.4890, 0.5770)
O (0.5714, 0.4883, 0.5772)
O (0.1498, 0.8248, 0.2562)
O (0.6525, 0.8256, 0.2563)
O (0.2615, 0.7021, 0.2549)
O (0.7625, 0.6967, 0.2569)
O (0.0869, 0.4716, 0.2578)
O (0.5886, 0.4761, 0.2549)
O (0.1514, 0.4757, 0.7561)
O (0.6514, 0.4756, 0.7562)
O (0.0872, 0.7005, 0.7570)
O (0.5871, 0.7001, 0.7571)
O (0.2647, 0.8252, 0.7561)
O (0.7647, 0.8252, 0.7560)

Results
- Magnetization: 0.000 μB/f.u.
- SG: P1
- Total energy after the MP2020 corrections: -7.368 eV/atom

6.
DFT (PBE-GGA) results for an optimized crystal structure of DyCoC2.

Cell lengths 3.7515, 3.7515, 3.5704 Å; angles 90.00, 90.00, 106.12 degrees
Atoms (fractional coordinates):
Dy (0.0009, 0.9991, 0.0000)
Co (0.3840, 0.6160, 0.5000)
C (0.5416, 0.1525, 0.5000)
C (0.8475, 0.4584, 0.5000)

Results
- SG: Amm2

7.
DFT (PBE-GGA) results for an optimized crystal structure of Mn5Si3.

Cell lengths 4.5003, 6.5137, 12.7476 Å; angles 90.06, 90.00, 90.00 degrees
Atoms (fractional coordinates):
Mn (0.5001, 0.0004, 0.3475)
Mn (0.0001, 0.9996, 0.6525)
Mn (0.4999, 0.9996, 0.6525)
Mn (0.9999, 0.0004, 0.3475)
Mn (0.2500, 0.2881, 0.5000)
Mn (0.7500, 0.7119, 0.5000)
Mn (0.2500, 0.6345, 0.6341)
Mn (0.7500, 0.3655, 0.3659)
Mn (0.2500, 0.6353, 0.3648)
Mn (0.7500, 0.3647, 0.6352)
Si (0.7500, 0.1090, 0.5002)
Si (0.2500, 0.8910, 0.4998)
Si (0.7500, 0.7006, 0.3018)
Si (0.2500, 0.2994, 0.6982)
Si (0.7500, 0.7004, 0.6980)
Si (0.2500, 0.2997, 0.3020)

Results
- Magnetization: 8.783 μB/f.u.
- SG: P2_1/m
- Total energy after the MP2020 corrections: -7.608 eV/atom
- Distance to the lowest polymorph of the same formula: 0.475 eV/atom

| no. | raw total energy (eV/atom) | energy of formation from the pure elements (kJ/mol of atoms) |
| --- | --- | --- |
| 1 | -5.243 | -332.28 |
| 2 | -3.869 | -69.79 |
| 3 | -5.335 | -163.33 |
| 4 | -3.130 | 58.54 |
| 5 | -6.945 | -266.88 |
| 6 | -7.889 | -33.37 |
| 7 | -7.635 | 14.74 |